Compound: MgAl2O4
Source: Materials Project
Functional: PBE-GGA
Structure: relaxed

E_form: -3.266 eV per atom
Energy above the most stable polymorph in this dataset: 0.1079 eV per atom
Total magnetic moment: 0.000 μB/atom

```
14
Lattice="1.403 -4.636 0.000 1.403 4.636 0.000 0.000 0.000 9.462" Properties=species:S:1:pos:R:3 pbc="T T T"
O 1.403 4.188 2.366
Al 1.403 3.388 4.038
Al 1.403 -3.388 8.769
O 1.403 -2.502 1.040
Mg 1.403 1.028 2.366
O 1.403 2.502 5.771
Mg 1.403 -1.028 7.097
O 1.403 -2.502 3.691
Al 1.403 3.388 0.693
O 1.403 -4.188 7.097
O 1.403 2.502 8.422
O 1.403 0.000 0.000
O 1.403 0.000 4.731
Al 1.403 -3.388 5.424
```